MgMn6O6F6: optimized geometry, PBE with a Hubbard U.

Symmetry = P1 (1)
Distance to the lowest polymorph of the same formula = 0.066 eV/atom

Lattice parameters (Å, degrees): 5.0001 4.8811 9.4201 91.73 91.18 88.80
Atoms (fractional coordinates):
O 0.7071 0.6658 0.9839
Mn 0.4789 0.5268 0.8315
O 0.2095 0.8157 0.8417
O 0.8070 0.1341 0.1589
Mn 0.9847 0.9655 0.3161
F 0.2308 0.7762 0.1665
F 0.7620 0.1959 0.5014
Mg 0.9933 0.5015 0.4995
O 0.2882 0.3868 0.6458
F 0.2294 0.3202 0.3466
O 0.7260 0.6540 0.3473
F 0.2761 0.2826 0.0007
Mn 0.0702 0.0299 0.6779
Mn 0.9843 0.9550 0.9955
O 0.1965 0.8388 0.4840
Mn 0.5596 0.4728 0.1541
Mn 0.4852 0.5599 0.4950
F 0.7654 0.2038 0.8146
F 0.7596 0.6870 0.6488

=====

CsFeBP2HO9: optimized geometry, PBE with a Hubbard U.

Symmetry = P2_1/c (14)

Lattice parameters (Å, degrees): 8.7237 9.4816 9.9367 77.15 90.00 90.00
Atoms (fractional coordinates):
O 0.0043 0.0732 0.6870
O 0.0411 0.6818 0.5436
Fe 0.3464 0.2058 0.0710
O 0.9957 0.9268 0.3130
O 0.7187 0.6406 0.5581
O 0.9427 0.1962 0.2718
O 0.6689 0.9004 0.3355
P 0.7331 0.5816 0.7138
O 0.0947 0.4211 0.2385
P 0.2669 0.4184 0.2862
O 0.1850 0.5827 0.7536
B 0.9563 0.3410 0.3026
O 0.4957 0.0732 0.1870
O 0.7813 0.6406 0.0581
B 0.0437 0.6590 0.6974
Cs 0.3910 0.8062 0.5545
O 0.5411 0.3182 0.9564
O 0.4589 0.6818 0.0436
H 0.0860 0.6015 0.5097
O 0.6850 0.4173 0.7464
O 0.1657 0.0878 0.4256
O 0.3311 0.0996 0.6645
O 0.5573 0.1962 0.7718
Cs 0.1090 0.8062 0.0545
H 0.9140 0.3985 0.4903
O 0.8311 0.9004 0.8355
O 0.5043 0.9268 0.8130
O 0.9053 0.5789 0.7615
P 0.2331 0.4184 0.7862
O 0.3684 0.3399 0.2003
P 0.4279 0.0749 0.7979
B 0.4563 0.6590 0.1974
O 0.1316 0.3399 0.7003
O 0.3150 0.5827 0.2536
O 0.6657 0.9122 0.0744
Fe 0.8464 0.7942 0.4290
Cs 0.8910 0.1938 0.9455
O 0.5947 0.5789 0.2615
O 0.4053 0.4211 0.7385
O 0.4427 0.8038 0.2282
B 0.5437 0.3410 0.8026
P 0.0721 0.0749 0.2979
O 0.1689 0.0996 0.1645
P 0.7669 0.5816 0.2138
O 0.8150 0.4173 0.2464
O 0.8343 0.9122 0.5744
Fe 0.6536 0.7942 0.9290
O 0.6316 0.6601 0.7997
O 0.0573 0.8038 0.7282
O 0.2187 0.3594 0.9419
P 0.5721 0.9251 0.2021
O 0.9589 0.3182 0.4564
Cs 0.6090 0.1938 0.4455
P 0.9279 0.9251 0.7021
O 0.2813 0.3594 0.4419
O 0.3343 0.0878 0.9256
H 0.4140 0.6015 0.0097
H 0.5860 0.3985 0.9903
Fe 0.1536 0.2058 0.5710
O 0.8684 0.6601 0.2997

=====

In the order shown, the computed DFT formation energy values come out to -2395, -2468 meV/atom.